Entry 1:
Entry from the Materials Project database: a relaxed Sc2CoPt crystal (r²SCAN).

total magnetization	4.1	μB per cell
raw total energy	-363.8	eV per cell
energy of formation	-859	meV/atom

Structure (CIF):
```
data_Sc2CoPt
_symmetry_space_group_name_H-M 'F m -3 m'
_symmetry_Int_Tables_number 225
_symmetry_space_group_name_Hall '-F 4 2 3'
_cell_length_a 6.467
_cell_length_b 6.467
_cell_length_c 6.467
_cell_angle_alpha 90.00
_cell_angle_beta 90.00
_cell_angle_gamma 90.00
loop_
_atom_site_label
_atom_site_type_symbol
_atom_site_fract_x
_atom_site_fract_y
_atom_site_fract_z
Sc1 Sc 0.250 0.250 0.250
Co1 Co 0.000 0.000 0.000
Pt1 Pt 0.000 0.000 0.500
```

Entry 2:
Entry from the Materials Project database: a relaxed Yb3Cu crystal (r²SCAN).

total magnetization	0.0	μB per cell
raw total energy	-119.9	eV per cell
energy of formation	127	meV/atom

Structure (CIF):
```
data_Yb3Cu
_symmetry_space_group_name_H-M 'P m -3 m'
_symmetry_Int_Tables_number 221
_symmetry_space_group_name_Hall '-P 4 2 3'
_cell_length_a 4.564
_cell_length_b 4.564
_cell_length_c 4.564
_cell_angle_alpha 90.00
_cell_angle_beta 90.00
_cell_angle_gamma 90.00
loop_
_atom_site_label
_atom_site_type_symbol
_atom_site_fract_x
_atom_site_fract_y
_atom_site_fract_z
Yb1 Yb 0.000 0.000 0.500
Cu1 Cu 0.500 0.500 0.500
```

Entry 3:
Entry from the Materials Project database: a relaxed Ba3Br4Cl2 crystal (r²SCAN).

total magnetization	0.0	μB per cell
raw total energy	-673.8	eV per cell
energy of formation	-2625	meV/atom

Structure (CIF):
```
data_Ba3Br4Cl2
_symmetry_space_group_name_H-M 'P 1'
_symmetry_Int_Tables_number 1
_symmetry_space_group_name_Hall 'P 1'
_cell_length_a 8.283
_cell_length_b 10.901
_cell_length_c 13.817
_cell_angle_alpha 71.89
_cell_angle_beta 89.87
_cell_angle_gamma 89.84
loop_
_atom_site_label
_atom_site_type_symbol
_atom_site_fract_x
_atom_site_fract_y
_atom_site_fract_z
Ba1 Ba 0.000 0.000 0.000
Ba2 Ba 0.000 0.327 0.663
Ba3 Ba 0.001 0.660 0.329
Ba4 Ba 0.484 0.993 0.247
Ba5 Ba 0.485 0.328 0.912
Ba6 Ba 0.485 0.660 0.580
Ba7 Ba 0.500 0.816 0.907
Ba8 Ba 0.510 0.150 0.575
Ba9 Ba 0.510 0.484 0.241
Ba10 Ba 0.984 0.162 0.331
Ba11 Ba 0.985 0.488 0.999
Ba12 Ba 0.985 0.829 0.657
Br1 Br 0.216 0.352 0.425
Br2 Br 0.217 0.021 0.756
Br3 Br 0.217 0.683 0.094
Br4 Br 0.276 0.625 0.812
Br5 Br 0.277 0.292 0.147
Br6 Br 0.277 0.961 0.478
Br7 Br 0.390 0.362 0.679
Br8 Br 0.390 0.695 0.347
Br9 Br 0.391 0.029 0.014
Br10 Br 0.719 0.130 0.813
Br11 Br 0.719 0.461 0.479
Br12 Br 0.719 0.794 0.148
Br13 Br 0.774 0.193 0.096
Br14 Br 0.775 0.524 0.761
Br15 Br 0.775 0.858 0.428
Br16 Br 0.892 0.787 0.893
Cl1 Cl 0.101 0.620 0.559
Cl2 Cl 0.101 0.954 0.228
Cl3 Cl 0.102 0.288 0.892
Cl4 Cl 0.605 0.196 0.348
Cl5 Cl 0.605 0.529 0.015
Cl6 Cl 0.605 0.863 0.680
Cl7 Cl 0.889 0.120 0.558
Cl8 Cl 0.889 0.452 0.226
```

Entry 4:
Entry from the Materials Project database: a relaxed Ca2GeS4 crystal (r²SCAN).

total magnetization	0.0	μB per cell
raw total energy	-284.9	eV per cell
energy of formation	-1590	meV/atom

Structure (CIF):
```
data_Ca2GeS4
_symmetry_space_group_name_H-M 'P n m a'
_symmetry_Int_Tables_number 62
_symmetry_space_group_name_Hall '-P 2ac 2n'
_cell_length_a 13.732
_cell_length_b 8.224
_cell_length_c 6.329
_cell_angle_alpha 90.00
_cell_angle_beta 90.00
_cell_angle_gamma 90.00
loop_
_atom_site_label
_atom_site_type_symbol
_atom_site_fract_x
_atom_site_fract_y
_atom_site_fract_z
Ca1 Ca 0.000 0.000 0.000
Ca2 Ca 0.227 0.250 0.483
Ge1 Ge 0.093 0.750 0.408
S1 S 0.057 0.250 0.728
S2 S 0.093 0.750 0.755
S3 S 0.168 0.538 0.261
```

Entry 5:
Entry from the Materials Project database: a relaxed TbAlNi4 crystal (r²SCAN).

total magnetization	0.0	μB per cell
raw total energy	-177.8	eV per cell
energy of formation	-504	meV/atom

Structure (CIF):
```
data_TbAlNi4
_symmetry_space_group_name_H-M 'C m m m'
_symmetry_Int_Tables_number 65
_symmetry_space_group_name_Hall '-C 2 2'
_cell_length_a 4.974
_cell_length_b 8.357
_cell_length_c 3.983
_cell_angle_alpha 90.00
_cell_angle_beta 90.00
_cell_angle_gamma 90.00
loop_
_atom_site_label
_atom_site_type_symbol
_atom_site_fract_x
_atom_site_fract_y
_atom_site_fract_z
Tb1 Tb 0.000 0.000 0.000
Al1 Al 0.000 0.500 0.500
Ni1 Ni 0.000 0.332 0.000
Ni2 Ni 0.250 0.250 0.500
```

Entry 6:
Entry from the Materials Project database: a relaxed CaGaAu3 crystal (r²SCAN).

total magnetization	0.0	μB per cell
raw total energy	-1386.8	eV per cell
energy of formation	-622	meV/atom

Structure (CIF):
```
data_CaGaAu3
_symmetry_space_group_name_H-M 'P a -3'
_symmetry_Int_Tables_number 205
_symmetry_space_group_name_Hall '-P 2ac 2ab 3'
_cell_length_a 9.194
_cell_length_b 9.194
_cell_length_c 9.194
_cell_angle_alpha 90.00
_cell_angle_beta 90.00
_cell_angle_gamma 90.00
loop_
_atom_site_label
_atom_site_type_symbol
_atom_site_fract_x
_atom_site_fract_y
_atom_site_fract_z
Ca1 Ca 0.109 0.109 0.109
Ga1 Ga 0.113 0.613 0.887
Au1 Au 0.075 0.737 0.135
```

Entry 7:
Entry from the Materials Project database: a relaxed ZrTiCo4 crystal (r²SCAN).

total magnetization	16.1	μB per cell
raw total energy	-359.7	eV per cell
energy of formation	-219	meV/atom

Structure (CIF):
```
data_ZrTiCo4
_symmetry_space_group_name_H-M 'F -4 3 m'
_symmetry_Int_Tables_number 216
_symmetry_space_group_name_Hall 'F -4 2 3'
_cell_length_a 6.823
_cell_length_b 6.823
_cell_length_c 6.823
_cell_angle_alpha 90.00
_cell_angle_beta 90.00
_cell_angle_gamma 90.00
loop_
_atom_site_label
_atom_site_type_symbol
_atom_site_fract_x
_atom_site_fract_y
_atom_site_fract_z
Zr1 Zr 0.000 0.000 0.000
Ti1 Ti 0.250 0.250 0.250
Co1 Co 0.125 0.125 0.625
```

Entry 8:
Entry from the Materials Project database: a relaxed LuAs crystal (r²SCAN).

total magnetization	0.0	μB per cell
raw total energy	-225.0	eV per cell
energy of formation	-1737	meV/atom

Structure (CIF):
```
data_LuAs
_symmetry_space_group_name_H-M 'F m -3 m'
_symmetry_Int_Tables_number 225
_symmetry_space_group_name_Hall '-F 4 2 3'
_cell_length_a 5.676
_cell_length_b 5.676
_cell_length_c 5.676
_cell_angle_alpha 90.00
_cell_angle_beta 90.00
_cell_angle_gamma 90.00
loop_
_atom_site_label
_atom_site_type_symbol
_atom_site_fract_x
_atom_site_fract_y
_atom_site_fract_z
Lu1 Lu 0.000 0.000 0.000
As1 As 0.000 0.000 0.500
```

Entry 9:
Entry from the Materials Project database: a relaxed PbCl2 crystal (r²SCAN).

total magnetization	0.0	μB per cell
raw total energy	-144.8	eV per cell
energy of formation	-1266	meV/atom

Structure (CIF):
```
data_PbCl2
_symmetry_space_group_name_H-M 'P 42/m n m'
_symmetry_Int_Tables_number 136
_symmetry_space_group_name_Hall '-P 4n 2n'
_cell_length_a 6.748
_cell_length_b 6.748
_cell_length_c 4.435
_cell_angle_alpha 90.00
_cell_angle_beta 90.00
_cell_angle_gamma 90.00
loop_
_atom_site_label
_atom_site_type_symbol
_atom_site_fract_x
_atom_site_fract_y
_atom_site_fract_z
Pb1 Pb 0.000 0.000 0.000
Cl1 Cl 0.197 0.197 0.500
```

Entry 10:
Entry from the Materials Project database: a relaxed PrLuO3 crystal (r²SCAN).

total magnetization	0.0	μB per cell
raw total energy	-418.5	eV per cell
energy of formation	-3846	meV/atom

Structure (CIF):
```
data_PrLuO3
_symmetry_space_group_name_H-M 'P n m a'
_symmetry_Int_Tables_number 62
_symmetry_space_group_name_Hall '-P 2ac 2n'
_cell_length_a 5.967
_cell_length_b 8.282
_cell_length_c 5.733
_cell_angle_alpha 90.00
_cell_angle_beta 90.00
_cell_angle_gamma 90.00
loop_
_atom_site_label
_atom_site_type_symbol
_atom_site_fract_x
_atom_site_fract_y
_atom_site_fract_z
Pr1 Pr 0.055 0.250 0.017
Lu1 Lu 0.000 0.000 0.500
O1 O 0.051 0.750 0.379
O2 O 0.196 0.564 0.806
```

Entry 11:
Entry from the Materials Project database: a relaxed GeRh crystal (r²SCAN).

total magnetization	0.0	μB per cell
raw total energy	-156.5	eV per cell
energy of formation	-562	meV/atom

Structure (CIF):
```
data_GeRh
_symmetry_space_group_name_H-M 'P n m a'
_symmetry_Int_Tables_number 62
_symmetry_space_group_name_Hall '-P 2ac 2n'
_cell_length_a 5.673
_cell_length_b 3.294
_cell_length_c 6.458
_cell_angle_alpha 90.00
_cell_angle_beta 90.00
_cell_angle_gamma 90.00
loop_
_atom_site_label
_atom_site_type_symbol
_atom_site_fract_x
_atom_site_fract_y
_atom_site_fract_z
Ge1 Ge 0.192 0.250 0.064
Rh1 Rh 0.005 0.250 0.703
```

Entry 12:
Entry from the Materials Project database: a relaxed PrSn4Rh2 crystal (r²SCAN).

total magnetization	0.0	μB per cell
raw total energy	-725.0	eV per cell
energy of formation	-654	meV/atom

Structure (CIF):
```
data_PrSn4Rh2
_symmetry_space_group_name_H-M 'P n m a'
_symmetry_Int_Tables_number 62
_symmetry_space_group_name_Hall '-P 2ac 2n'
_cell_length_a 18.598
_cell_length_b 4.505
_cell_length_c 7.219
_cell_angle_alpha 90.00
_cell_angle_beta 90.00
_cell_angle_gamma 90.00
loop_
_atom_site_label
_atom_site_type_symbol
_atom_site_fract_x
_atom_site_fract_y
_atom_site_fract_z
Pr1 Pr 0.142 0.250 0.001
Sn1 Sn 0.031 0.750 0.868
Sn2 Sn 0.067 0.250 0.477
Sn3 Sn 0.181 0.750 0.304
Sn4 Sn 0.196 0.750 0.722
Rh1 Rh 0.034 0.750 0.253
Rh2 Rh 0.212 0.250 0.516
```

Entry 13:
Entry from the Materials Project database: a relaxed Th2BiN2 crystal (r²SCAN).

total magnetization	0.0	μB per cell
raw total energy	-464.8	eV per cell
energy of formation	-1739	meV/atom

Structure (CIF):
```
data_Th2BiN2
_symmetry_space_group_name_H-M 'I 4/m m m'
_symmetry_Int_Tables_number 139
_symmetry_space_group_name_Hall '-I 4 2'
_cell_length_a 4.072
_cell_length_b 4.072
_cell_length_c 14.163
_cell_angle_alpha 90.00
_cell_angle_beta 90.00
_cell_angle_gamma 90.00
loop_
_atom_site_label
_atom_site_type_symbol
_atom_site_fract_x
_atom_site_fract_y
_atom_site_fract_z
Th1 Th 0.000 0.000 0.169
Bi1 Bi 0.000 0.000 0.500
N1 N 0.000 0.500 0.250
```

Entry 14:
Entry from the Materials Project database: a relaxed CsZn2B3O7 crystal (r²SCAN).

total magnetization	0.0	μB per cell
raw total energy	-1639.0	eV per cell
energy of formation	-2293	meV/atom

Structure (CIF):
```
data_CsZn2B3O7
_symmetry_space_group_name_H-M 'C m c 21'
_symmetry_Int_Tables_number 36
_symmetry_space_group_name_Hall 'C 2c -2'
_cell_length_a 8.443
_cell_length_b 19.276
_cell_length_c 14.594
_cell_angle_alpha 90.00
_cell_angle_beta 90.00
_cell_angle_gamma 90.00
loop_
_atom_site_label
_atom_site_type_symbol
_atom_site_fract_x
_atom_site_fract_y
_atom_site_fract_z
Cs1 Cs 0.000 0.003 0.000
Cs2 Cs 0.000 0.388 0.573
Cs3 Cs 0.000 0.391 0.931
Zn1 Zn 0.186 0.191 0.245
Zn2 Zn 0.189 0.206 0.584
Zn3 Zn 0.191 0.210 0.906
B1 B 0.000 0.225 0.079
B2 B 0.000 0.225 0.415
B3 B 0.000 0.247 0.745
B4 B 0.236 0.467 0.751
B5 B 0.245 0.421 0.333
B6 B 0.249 0.423 0.165
O1 O 0.000 0.204 0.169
O2 O 0.000 0.228 0.509
O3 O 0.000 0.239 0.839
O4 O 0.140 0.253 0.699
O5 O 0.141 0.236 0.034
O6 O 0.143 0.224 0.370
O7 O 0.221 0.399 0.753
O8 O 0.236 0.109 0.585
O9 O 0.238 0.494 0.333
O10 O 0.243 0.113 0.912
O11 O 0.243 0.496 0.168
O12 O 0.244 0.388 0.248
```

Entry 15:
Entry from the Materials Project database: a relaxed TbDyIn2 crystal (r²SCAN).

total magnetization	0.0	μB per cell
raw total energy	-443.1	eV per cell
energy of formation	-600	meV/atom

Structure (CIF):
```
data_TbDyIn2
_symmetry_space_group_name_H-M 'F m -3 m'
_symmetry_Int_Tables_number 225
_symmetry_space_group_name_Hall '-F 4 2 3'
_cell_length_a 7.496
_cell_length_b 7.496
_cell_length_c 7.496
_cell_angle_alpha 90.00
_cell_angle_beta 90.00
_cell_angle_gamma 90.00
loop_
_atom_site_label
_atom_site_type_symbol
_atom_site_fract_x
_atom_site_fract_y
_atom_site_fract_z
Tb1 Tb 0.000 0.000 0.000
Dy1 Dy 0.000 0.000 0.500
In1 In 0.250 0.250 0.250
```